# 1
A relaxed structure of CaWO4, computed with GGA+U.

Cell: 5.3345 5.3345 11.5099 Å, 90.00 90.00 90.00°
Last column: nearest neighbours and their distance in Å.
Space group I4_1/a (No. 88, origin choice 2)
Unique sites:
Ca 0.0000 0.2500 0.1250 [4 per cell]  8 O 2.47-2.51
W 0.0000 0.2500 0.6250 [4 per cell]  4 O 1.83
O 0.1537 0.4932 0.7114 [16 per cell]  1 W 1.83

Properties
Its energy of formation from the pure elements is -263.0 kJ/mol of atoms. As for the energy: -175.7 eV per cell.

# 2
A relaxed structure of Li3V3P8O29, computed with GGA+U.

Cell: 9.7318 9.7487 14.3472 Å, 89.42 89.54 60.12°
Last column: nearest neighbours and their distance in Å.
Space group P1 (No. 1)
Unique sites:
Li 0.0000 0.0000 0.0000 [1 per cell]  2 O 1.91-1.94
Li 0.0026 0.5783 0.5137 [1 per cell]  3 O 1.93-2.15
Li 0.0874 0.8230 0.4004 [1 per cell]  2 O 1.91-2.05
Li 0.4480 0.1387 0.0085 [1 per cell]  2 O 1.91-1.96
Li 0.6996 0.9619 0.4556 [1 per cell]  2 O 1.86-1.93
Li 0.7998 0.8529 0.9463 [1 per cell]  2 O 1.88-1.99
V 0.2096 0.4710 0.7081 [1 per cell]  6 O 1.82-1.96
V 0.2100 0.9108 0.2047 [1 per cell]  6 O 1.85-1.94
V 0.3363 0.3471 0.2023 [1 per cell]  6 O 1.83-1.97
V 0.3387 0.9084 0.6987 [1 per cell]  6 O 1.87-1.93
V 0.7713 0.3462 0.7028 [1 per cell]  6 O 1.85-1.92
V 0.7720 0.4701 0.2035 [1 per cell]  6 O 1.88-1.92
P 0.0779 0.6912 0.1122 [1 per cell]  4 O 1.48-1.63
P 0.0837 0.8179 0.6122 [1 per cell]  4 O 1.49-1.62
P 0.1034 0.2457 0.5854 [1 per cell]  4 O 1.49-1.58
P 0.1052 0.2412 0.0865 [1 per cell]  4 O 1.48-1.60
P 0.4353 0.5768 0.3189 [1 per cell]  4 O 1.48-1.59
P 0.4384 0.5776 0.8190 [1 per cell]  4 O 1.48-1.60
P 0.4609 0.1281 0.7958 [1 per cell]  4 O 1.49-1.60
P 0.4657 0.9951 0.2957 [1 per cell]  4 O 1.47-1.61
P 0.5501 0.2183 0.6169 [1 per cell]  4 O 1.47-1.63
P 0.5533 0.8213 0.1153 [1 per cell]  4 O 1.49-1.61
P 0.6887 0.6894 0.6124 [1 per cell]  4 O 1.49-1.61
P 0.6902 0.2129 0.1136 [1 per cell]  4 O 1.48-1.61
P 0.8537 0.1288 0.2983 [1 per cell]  4 O 1.48-1.62
P 0.8538 0.6026 0.7952 [1 per cell]  4 O 1.48-1.61
P 0.9936 0.9966 0.7904 [1 per cell]  4 O 1.50-1.62
P 0.9968 0.5940 0.2928 [1 per cell]  4 O 1.50-1.60
O 0.0011 0.8905 0.5227 [1 per cell]  1 P 1.49
O 0.0043 0.6685 0.3821 [1 per cell]  1 P 1.50
O 0.0311 0.5582 0.7823 [1 per cell]  1 P 1.57
O 0.0310 0.9915 0.2892 [1 per cell]  1 P 1.58
O 0.0962 0.2494 0.4820 [1 per cell]  1 P 1.49
O 0.1007 0.2269 0.9837 [1 per cell]  1 P 1.48
O 0.1034 0.0938 0.1345 [1 per cell]  1 P 1.60
O 0.1028 0.3956 0.6247 [1 per cell]  1 P 1.57
O 0.1146 0.6452 0.6183 [1 per cell]  1 P 1.56
O 0.1179 0.8278 0.1183 [1 per cell]  1 P 1.57
O 0.1527 0.4343 0.2744 [1 per cell]  1 P 1.56
O 0.1528 0.9932 0.7769 [1 per cell]  1 P 1.54
O 0.2328 0.5285 0.1237 [1 per cell]  1 P 1.56
O 0.2401 0.8204 0.6255 [1 per cell]  1 P 1.55
O 0.2500 0.0950 0.6286 [1 per cell]  1 P 1.58
O 0.2589 0.2383 0.1210 [1 per cell]  1 P 1.57
O 0.2827 0.7249 0.2768 [1 per cell]  1 P 1.59
O 0.2910 0.5728 0.7741 [1 per cell]  1 P 1.60
O 0.3018 0.2866 0.7810 [1 per cell]  1 P 1.56
O 0.3091 0.9896 0.2824 [1 per cell]  1 P 1.56
O 0.3882 0.3720 0.6290 [1 per cell]  1 P 1.55
O 0.3912 0.8260 0.1288 [1 per cell]  1 P 1.57
O 0.4240 0.1700 0.2782 [1 per cell]  1 P 1.56
O 0.4243 0.5780 0.4218 [1 per cell]  1 P 1.48
O 0.4276 0.9902 0.7817 [1 per cell]  1 P 1.55
O 0.4318 0.5796 0.9220 [1 per cell]  1 P 1.48
O 0.4339 0.4306 0.2711 [1 per cell]  1 P 1.59
O 0.4344 0.7256 0.7723 [1 per cell]  1 P 1.57
O 0.5126 0.8239 0.6166 [1 per cell]  1 P 1.56
O 0.5146 0.2501 0.1136 [1 per cell]  1 P 1.56
O 0.5376 0.1179 0.8870 [1 per cell]  1 P 1.49
O 0.5542 0.9276 0.3825 [1 per cell]  1 P 1.47
O 0.5620 0.1233 0.5348 [1 per cell]  1 P 1.47
O 0.5617 0.9099 0.0326 [1 per cell]  1 P 1.49
O 0.5744 0.9015 0.2077 [1 per cell]  2 P 1.61
O 0.5748 0.1157 0.7117 [1 per cell]  2 P 1.60-1.63
O 0.5825 0.5757 0.2743 [1 per cell]  1 P 1.56
O 0.5840 0.4324 0.7738 [1 per cell]  1 P 1.56
O 0.6831 0.2616 0.6223 [1 per cell]  1 P 1.55
O 0.6873 0.6466 0.1210 [1 per cell]  1 P 1.55
O 0.6911 0.3710 0.1274 [1 per cell]  1 P 1.56
O 0.6941 0.5289 0.6232 [1 per cell]  1 P 1.55
O 0.7663 0.7119 0.7058 [1 per cell]  2 P 1.61
O 0.7665 0.1116 0.2073 [1 per cell]  2 P 1.61-1.62
O 0.7759 0.7061 0.5309 [1 per cell]  1 P 1.49
O 0.7801 0.1055 0.3828 [1 per cell]  1 P 1.48
O 0.7806 0.1168 0.0322 [1 per cell]  1 P 1.48
O 0.7835 0.6963 0.8803 [1 per cell]  1 P 1.48
O 0.8463 0.4491 0.7842 [1 per cell]  1 P 1.54
O 0.8490 0.2901 0.2831 [1 per cell]  1 P 1.56
O 0.8548 0.1695 0.7822 [1 per cell]  1 P 1.55
O 0.8558 0.5645 0.2857 [1 per cell]  1 P 1.54
O 0.9571 0.2475 0.6346 [1 per cell]  1 P 1.58
O 0.9603 0.3864 0.1336 [1 per cell]  1 P 1.57
O 0.9741 0.9061 0.7017 [1 per cell]  2 P 1.62
O 0.9781 0.7133 0.0303 [1 per cell]  1 P 1.48
O 0.9794 0.7097 0.2080 [1 per cell]  2 P 1.60-1.63
O 0.9796 0.9238 0.8796 [1 per cell]  1 P 1.50

Properties
Its energy of formation from the pure elements is -243.7 kJ/mol of atoms. The relative energy among the computed polymorphs comes out at 0.30 eV per formula unit. For the magnetization, the calculation gives 0.0000 μB/atom. As for the energy: -606.7 eV per cell.

# 3
A relaxed structure of Ba2LiY2Fe4O10, computed with GGA+U.

Cell: 3.9316 8.0684 8.4743 Å, 90.00 90.00 90.00°
Last column: nearest neighbours and their distance in Å.
Space group Pmm2 (No. 25)
Unique sites:
Ba 0.0000 0.2329 0.0000 [2 per cell]  1 Li 2.74, 6 O 2.83-2.95
Li 0.0000 0.5000 0.2006 [1 per cell]  3 O 1.87-2.09
Y 0.0000 0.2439 0.5614 [2 per cell]  5 O 2.31-2.51
Fe 0.5000 0.0000 0.3329 [1 per cell]  5 O 1.91-2.06
Fe 0.5000 0.0000 0.7565 [1 per cell]  4 O 1.97-1.99
Fe 0.5000 0.5000 0.3802 [1 per cell]  5 O 2.00-2.23
Fe 0.5000 0.5000 0.7698 [1 per cell]  4 O 1.97-2.05
O 0.0000 0.0000 0.4056 [1 per cell]  2 Fe 2.06
O 0.0000 0.0000 0.7455 [1 per cell]  2 Fe 1.97
O 0.0000 0.5000 0.4207 [1 per cell]  1 Li 1.87, 2 Fe 2.00
O 0.0000 0.5000 0.7619 [1 per cell]  2 Fe 1.97
O 0.5000 0.0000 0.1073 [1 per cell]  1 Fe 1.91
O 0.5000 0.2377 0.4192 [2 per cell]  2 Fe 2.05-2.14
O 0.5000 0.2467 0.7595 [2 per cell]  2 Fe 1.99-2.05
O 0.5000 0.5000 0.1175 [1 per cell]  2 Li 2.09, 1 Fe 2.23

Properties
Its energy of formation from the pure elements is -228.3 kJ/mol of atoms. The relative energy among the computed polymorphs comes out at 1.32 eV per formula unit. For the magnetization, the calculation gives 0.8948 μB/atom. As for the energy: -131.1 eV per cell.

# 4
A relaxed structure of Ta2Zn2WO8, computed with GGA+U.

Cell: 5.3444 5.9833 10.2602 Å, 105.04 90.73 91.19°
Last column: nearest neighbours and their distance in Å.
Space group P1 (No. 1)
Unique sites:
Ta 0.0000 0.0000 0.0000 [1 per cell]  4 O 1.94-2.09
Ta 0.0042 0.7428 0.5343 [1 per cell]  5 O 1.91-2.10
Ta 0.4418 0.2568 0.0134 [1 per cell]  4 O 1.93-2.09
Ta 0.5066 0.0543 0.5335 [1 per cell]  6 O 1.91-2.13
Zn 0.0085 0.1506 0.3220 [1 per cell]  4 O 2.03-2.10
Zn 0.4639 0.8674 0.1912 [1 per cell]  3 O 1.94-1.99
Zn 0.5015 0.4587 0.3355 [1 per cell]  4 O 1.97-2.07
Zn 0.9509 0.5809 0.1943 [1 per cell]  3 O 1.96
W 0.9999 0.3594 0.7748 [1 per cell]  6 O 2.17-2.25
W 0.5091 0.6562 0.7721 [1 per cell]  6 O 2.10-2.22
O 0.0952 0.8648 0.1620 [1 per cell]  3 Zn 1.96-2.10, 1 Ta 2.09
O 0.1544 0.3043 0.1484 [1 per cell]  1 Zn 1.96, 2 Ta 2.06-2.19
O 0.1538 0.5799 0.6518 [1 per cell]  1 Ta 1.91
O 0.1803 0.0592 0.6317 [1 per cell]  2 Ta 2.02-2.10, 1 W 2.25
O 0.3145 0.7447 0.4263 [1 per cell]  2 Ta 2.01-2.13, 1 Zn 2.02
O 0.3290 0.9335 0.9013 [1 per cell]  2 Ta 2.04-2.05, 1 W 2.10
O 0.3470 0.4403 0.8915 [1 per cell]  1 Ta 1.93
O 0.3788 0.1835 0.3896 [1 per cell]  1 Ta 1.96, 2 Zn 1.97-2.08
O 0.5878 0.5551 0.1661 [1 per cell]  3 Zn 1.95-2.02, 1 Ta 2.17
O 0.6558 0.3247 0.6528 [1 per cell]  1 Ta 1.91
O 0.6630 0.0869 0.1245 [1 per cell]  1 Zn 1.94, 1 Ta 2.09
O 0.6806 0.8294 0.6300 [1 per cell]  2 Ta 2.01-2.09, 1 W 2.20
O 0.8080 0.1900 0.9099 [1 per cell]  1 Ta 1.94, 1 W 2.17
O 0.8158 0.9552 0.4239 [1 per cell]  2 Ta 2.02-2.16, 1 Zn 2.03
O 0.8527 0.6878 0.8858 [1 per cell]  1 Ta 2.06, 2 W 2.14-2.17
O 0.8752 0.4768 0.3919 [1 per cell]  1 Ta 1.97, 2 Zn 2.04-2.07

Properties
Its energy of formation from the pure elements is -234.1 kJ/mol of atoms. For the magnetization, the calculation gives 0.2308 μB/atom. As for the energy: -200.8 eV per cell.